1:
A plane-wave DFT calculation with r2SCAN was carried out for a relaxed structure of Y2WO6.

Cell lengths 5.224, 9.060, 9.908 Å; angles 90.00, 90.00, 90.00 degrees
Positions (direct):
1 Y 0.019 0.103 0.466
2 Y 0.038 0.219 0.871
3 Y 0.462 0.781 0.371
4 Y 0.481 0.897 0.966
5 Y 0.519 0.397 0.534
6 Y 0.538 0.281 0.129
7 Y 0.962 0.719 0.629
8 Y 0.981 0.603 0.034
9 W 0.039 0.495 0.347
10 W 0.461 0.505 0.847
11 W 0.539 0.005 0.653
12 W 0.961 0.995 0.153
13 O 0.084 0.844 0.031
14 O 0.175 0.953 0.297
15 O 0.182 0.637 0.819
16 O 0.193 0.640 0.236
17 O 0.232 0.113 0.068
18 O 0.247 0.590 0.494
19 O 0.253 0.410 0.994
20 O 0.268 0.887 0.568
21 O 0.307 0.360 0.736
22 O 0.318 0.363 0.319
23 O 0.325 0.047 0.797
24 O 0.416 0.156 0.531
25 O 0.584 0.656 0.969
26 O 0.675 0.547 0.703
27 O 0.682 0.863 0.181
28 O 0.693 0.860 0.764
29 O 0.732 0.387 0.932
30 O 0.747 0.910 0.506
31 O 0.753 0.090 0.006
32 O 0.768 0.613 0.432
33 O 0.807 0.140 0.264
34 O 0.818 0.137 0.681
35 O 0.825 0.453 0.203
36 O 0.916 0.344 0.469

Properties
Total magnetic moment: 0.0 μB/f.u.

***

2:
A plane-wave DFT calculation with r2SCAN was carried out for a relaxed structure of Y2WO6.

Cell lengths 7.631, 5.345, 11.371 Å; angles 90.00, 104.51, 90.00 degrees
Positions (direct):
1 Y 0.000 0.183 0.250
2 Y 0.000 0.817 0.750
3 Y 0.297 0.313 0.922
4 Y 0.297 0.687 0.422
5 Y 0.500 0.239 0.250
6 Y 0.500 0.761 0.750
7 Y 0.703 0.313 0.578
8 Y 0.703 0.687 0.078
9 W 0.222 0.246 0.614
10 W 0.222 0.754 0.114
11 W 0.778 0.246 0.886
12 W 0.778 0.754 0.386
13 O 0.010 0.143 0.887
14 O 0.010 0.857 0.387
15 O 0.134 0.346 0.452
16 O 0.134 0.654 0.952
17 O 0.211 0.485 0.228
18 O 0.211 0.515 0.728
19 O 0.287 0.039 0.772
20 O 0.287 0.961 0.272
21 O 0.350 0.026 0.070
22 O 0.350 0.974 0.570
23 O 0.437 0.460 0.604
24 O 0.437 0.540 0.104
25 O 0.563 0.460 0.896
26 O 0.563 0.540 0.396
27 O 0.650 0.026 0.430
28 O 0.650 0.974 0.930
29 O 0.713 0.039 0.728
30 O 0.713 0.961 0.228
31 O 0.789 0.485 0.272
32 O 0.789 0.515 0.772
33 O 0.866 0.346 0.048
34 O 0.866 0.654 0.548
35 O 0.990 0.143 0.613
36 O 0.990 0.857 0.113

Properties
Total magnetic moment: 0.0 μB/f.u.

***

What is the stability order? It is 2, 1, from most stable to least stable.

***

1:
A plane-wave DFT calculation with r2SCAN was carried out for a relaxed structure of YbO3.

Cell lengths 3.885, 3.660, 6.289 Å; angles 90.00, 101.78, 90.00 degrees
Positions (direct):
1 Yb 0.199 0.250 0.322
2 Yb 0.801 0.750 0.678
3 O 0.219 0.250 0.899
4 O 0.252 0.750 0.522
5 O 0.464 0.750 0.151
6 O 0.536 0.250 0.849
7 O 0.748 0.250 0.478
8 O 0.781 0.750 0.101

Properties
Total magnetic moment: 1.0 μB/f.u.

***

2:
A plane-wave DFT calculation with r2SCAN was carried out for a relaxed structure of YbO3.

Cell lengths 4.512, 4.512, 4.583 Å; angles 90.00, 90.00, 120.00 degrees
Positions (direct):
1 Yb 0.333 0.667 0.250
2 Yb 0.667 0.333 0.750
3 O 0.179 0.359 0.750
4 O 0.179 0.821 0.750
5 O 0.359 0.179 0.250
6 O 0.641 0.821 0.750
7 O 0.821 0.179 0.250
8 O 0.821 0.641 0.250

Properties
Total magnetic moment: 0.0 μB/f.u.

***

What is the stability order? It is 1, 2, from most stable to least stable.

***

1:
A plane-wave DFT calculation with r2SCAN was carried out for a relaxed structure of P4Os.

Cell lengths 4.700, 4.689, 7.119 Å; angles 90.00, 99.62, 90.00 degrees
Positions (direct):
1 P 0.122 0.151 0.411
2 P 0.122 0.349 0.911
3 P 0.283 0.690 0.752
4 P 0.283 0.810 0.252
5 P 0.717 0.190 0.748
6 P 0.717 0.310 0.248
7 P 0.878 0.651 0.089
8 P 0.878 0.849 0.589
9 Os 0.500 0.000 0.000
10 Os 0.500 0.500 0.500

Properties
Total magnetic moment: 0.0 μB/f.u.

***

2:
A plane-wave DFT calculation with r2SCAN was carried out for a relaxed structure of P4Os.

Cell lengths 4.730, 7.170, 7.557 Å; angles 111.23, 90.36, 100.43 degrees
Positions (direct):
1 P 0.099 0.366 0.400
2 P 0.108 0.830 0.269
3 P 0.159 0.086 0.939
4 P 0.227 0.573 0.049
5 P 0.294 0.296 0.623
6 P 0.320 0.838 0.715
7 P 0.680 0.162 0.285
8 P 0.706 0.704 0.377
9 P 0.773 0.427 0.951
10 P 0.841 0.914 0.061
11 P 0.892 0.170 0.731
12 P 0.901 0.634 0.600
13 Os 0.441 0.372 0.172
14 Os 0.500 0.000 0.500
15 Os 0.559 0.628 0.828

Properties
Total magnetic moment: 0.0 μB/f.u.

***

What is the stability order? It is 2, 1, from most stable to least stable.